# 1
A plane-wave DFT calculation with GGA+U was carried out for an optimized crystal structure of La7Mn8O23.

Cell and atoms, written as extended XYZ:
```
38
Lattice="-5.4425 5.6486 -0.8950 -3.9499 -3.5413 1.6693 1.5743 3.1863 10.5369" Properties=species:S:1:pos:R:3 pbc="T T T"
La -5.7562 0.9991 6.4889
La -6.5589 -0.6156 1.1793
La -1.6985 -1.0703 3.5735
La -4.1918 1.9445 2.9428
La -3.3936 3.5479 8.2082
La 0.6083 1.4201 5.2640
La 1.4310 3.0449 10.5152
Mn -4.1125 0.3092 9.3655
Mn -6.8049 3.1036 8.9227
Mn -0.9737 2.2086 2.3975
Mn -3.6867 5.0244 1.9513
Mn -1.7357 2.7849 11.0834
Mn -2.5211 1.2109 5.9432
Mn -4.5135 5.6679 10.6267
Mn -5.3018 4.0968 5.4860
O -3.5725 -2.8187 3.9350
O -5.9578 4.4338 10.0735
O -6.7623 2.9018 4.7318
O -2.9382 1.2999 10.5700
O -3.6545 -0.3238 5.2429
O -5.7185 3.4380 7.3069
O -3.4763 1.1108 7.6756
O -6.4884 1.9507 2.0406
O -4.1585 -0.4674 2.4237
O -3.2195 4.0866 10.5494
O -3.9686 2.5402 5.3451
O -1.8573 -1.5968 1.2167
O -1.1088 -0.0732 6.2808
O -1.7141 1.3610 4.0743
O -0.8564 3.0407 9.3269
O -4.8216 4.5862 3.5633
O -3.9432 6.2443 8.8193
O -1.3415 2.7587 6.5119
O -3.8054 5.3159 6.1068
O -2.2734 1.1914 1.2801
O -4.5800 3.5852 0.9008
O -1.5578 5.2582 7.8387
O -2.3100 3.6961 2.5538
```

Output
Calculated volume (Å³ per cell): 488.2
Total DFT energy (no corrections) (eV/cell): -301.01
Space-group type: No. 6

***

# 2
A plane-wave DFT calculation with GGA+U was carried out for an optimized crystal structure of LaMnO3.

Cell and atoms, written as extended XYZ:
```
20
Lattice="-5.2171 -1.1233 -2.4483 -2.5848 -2.7855 6.7859 -1.7634 5.1083 1.4139" Properties=species:S:1:pos:R:3 pbc="T T T"
La -2.6911 4.2896 2.9551
La -6.8742 -3.0900 2.7963
La -4.4561 1.2889 1.0524
La -5.1093 -0.0897 4.6988
Mn -8.6832 -1.3548 5.0444
Mn -2.1743 1.1616 4.1001
Mn -5.6643 3.1535 3.5831
Mn -5.1931 -3.3468 5.5618
O -3.2947 -0.7875 0.6376
O -6.2705 1.9868 5.1138
O -6.4857 0.3111 -0.1072
O -3.0797 0.8884 5.8588
O -2.9995 3.2018 0.5570
O -5.4937 -0.8614 2.4021
O -6.5660 -2.0020 5.1941
O -4.0714 2.0604 3.3498
O -6.7814 1.8100 2.2148
O -3.8444 -1.7492 6.3346
O -2.7839 -0.6104 3.5373
O -5.7208 2.9482 -0.5837
```

Output
Calculated volume (Å³ per cell): 255.1
Total DFT energy (no corrections) (eV/cell): -161.05
Space-group type: No. 14

***

# 3
A plane-wave DFT calculation with GGA+U was carried out for an optimized crystal structure of La3Mn3O10.

Cell and atoms, written as extended XYZ:
```
48
Lattice="5.4553 0.0000 0.0000 -2.6347 4.7792 0.0000 -0.0479 -3.0210 22.6215" Properties=species:S:1:pos:R:3 pbc="T T T"
La -0.6434 1.3126 16.9296
La -2.2660 4.1234 3.2322
La 1.0233 1.5307 8.1306
La 0.1604 2.9828 0.9889
La 2.6238 -1.2408 21.6746
La 5.0446 -2.3881 19.4440
La 1.7662 0.1807 14.5893
La 4.1831 -0.8807 12.2095
La 3.3991 0.4165 5.7312
Mn -0.2583 0.5999 20.3473
Mn -1.0397 2.0402 13.4887
Mn -1.8283 3.3971 6.8418
Mn 0.5883 2.2611 4.5440
Mn 2.1728 -0.5158 18.0993
Mn 1.3651 0.8843 11.2494
Mn 4.6117 -1.6526 15.8345
Mn 3.8161 -0.2809 9.0886
Mn 3.0352 1.1558 2.2911
O 1.3109 2.8089 10.3554
O -0.4942 3.1310 5.5960
O -1.5879 0.9000 21.3682
O 4.7982 -1.0112 7.7647
O 0.4371 3.8860 3.1204
O 1.0734 1.0185 21.5991
O 3.8393 0.2302 18.8980
O 0.5904 2.6877 14.4214
O 2.7766 1.3384 12.6897
O 2.2088 2.9781 5.3253
O 1.1230 0.3940 19.1440
O -0.9146 0.2785 14.9758
O 2.7396 0.5438 10.1751
O 0.7224 0.6257 5.9579
O 2.9301 2.9607 1.4328
O -0.1547 -1.2062 21.2049
O 2.0244 1.1445 16.6769
O 0.0981 1.1101 12.5673
O 3.7044 1.4840 7.6458
O 1.6273 1.3733 3.4743
O 0.5482 -1.2328 17.2900
O -0.0214 0.4214 10.0064
O -1.0576 1.5230 3.7274
O 2.2623 -0.8408 8.0050
O 1.7028 0.7380 1.0368
O 2.3274 -2.1388 19.5192
O -2.0618 2.7852 14.7655
O 4.3521 0.8521 1.2588
O 3.2076 -1.3683 16.9789
O 1.5078 -0.9702 12.3519
```

Output
Calculated volume (Å³ per cell): 589.8
Space-group type: No. 1
Offset from the most stable computed form (eV/f.u.): 6.046

***

# 4
A plane-wave DFT calculation with GGA+U was carried out for an optimized crystal structure of LaMnO3.

Cell and atoms, written as extended XYZ:
```
20
Lattice="-1.0188 2.6955 2.9684 -3.3538 -4.0257 2.5045 10.0447 -3.9769 7.0586" Properties=species:S:1:pos:R:3 pbc="T T T"
La -0.2455 -1.9470 5.1508
La 5.9177 -3.3601 7.3808
La 4.5437 -6.1745 7.7504
La 1.1285 0.8674 4.7811
Mn 5.0224 -1.9884 3.5293
Mn 0.0000 0.0000 0.0000
Mn 2.8361 -2.6535 6.2658
Mn -2.1863 -0.6651 2.7365
O 4.6570 -2.5660 5.4005
O 6.8401 -1.3478 7.2019
O -1.1679 -3.9593 5.3297
O -2.5795 -1.3179 4.6050
O 1.0151 -2.7411 7.1311
O -0.9135 0.7236 3.3843
O 0.7542 -2.5951 3.3630
O 6.5856 -6.0307 9.1472
O 2.9910 -4.6075 6.6212
O 4.9180 -2.7119 9.1686
O 8.2517 -3.9892 7.9265
O 2.6812 -0.6996 5.9104
```

Output
Calculated volume (Å³ per cell): 310.0
Total DFT energy (no corrections) (eV/cell): -150.95
Space-group type: No. 62

***

# 5
A plane-wave DFT calculation with GGA+U was carried out for an optimized crystal structure of La8Mn7O24.

Cell and atoms, written as extended XYZ:
```
39
Lattice="7.8658 0.0000 0.0000 -0.1272 7.8700 0.0000 -3.7458 -3.7975 7.8023" Properties=species:S:1:pos:R:3 pbc="T T T"
La 5.8243 2.1047 1.8954
La 2.0117 -1.7995 5.9317
La 1.8986 1.9219 5.9709
La 5.7318 5.8607 1.9110
La 1.9811 5.8720 1.8706
La -1.8315 1.9678 5.9069
La -1.7390 -1.7882 5.8913
La 2.0942 2.1506 1.8314
Mn 3.9329 0.0000 0.0000
Mn 3.9967 0.0755 3.9009
Mn 3.9329 4.0006 3.9896
Mn -0.0636 3.9350 0.0000
Mn -0.0040 3.9969 3.9014
Mn 0.0598 0.0719 3.8127
Mn 0.0000 0.0000 0.0000
O 3.7358 2.1094 7.5517
O 4.3063 -0.1422 5.8383
O 3.6600 4.3494 5.9001
O 2.2009 -0.1137 7.6075
O 5.9543 -0.2020 3.5933
O 4.2464 2.0356 4.1955
O 3.6571 5.9814 3.6531
O -0.0475 -1.9473 7.5537
O 0.2815 3.7443 5.8396
O 5.9083 0.2844 0.2577
O 4.1381 3.7901 2.1337
O 2.0399 0.3051 4.1610
O -0.1453 0.2824 5.6686
O 1.9529 3.7673 3.6413
O -1.9155 3.7880 7.5445
O 3.7112 0.3282 1.9626
O 0.3356 -1.9090 4.1492
O 4.0403 6.0197 0.2486
O -0.2536 2.0368 3.6068
O 1.7919 4.1862 0.1948
O -1.9615 4.2745 4.2090
O 0.3328 -0.2769 1.9022
O -0.3135 4.2146 1.9640
O 0.2569 1.9631 0.2505
```

Output
Calculated volume (Å³ per cell): 483.0
Total DFT energy (no corrections) (eV/cell): -310.53
Space-group type: No. 2

***

# 6
A plane-wave DFT calculation with GGA+U was carried out for an optimized crystal structure of La11Mn12O36.

Cell and atoms, written as extended XYZ:
```
59
Lattice="8.3665 4.8302 0.0000 -8.3665 4.8302 0.0000 0.0000 3.2208 8.9741" Properties=species:S:1:pos:R:3 pbc="T T T"
La -0.6279 3.1914 2.3285
La -3.5444 4.8736 6.6507
La 4.8798 6.4406 4.4870
La 2.0845 8.1201 2.3067
La -3.5444 8.0075 2.3233
La 7.6755 4.8302 0.0000
La -0.6279 9.6897 6.6455
La -0.6951 6.4406 4.4870
La -3.4950 4.8302 0.0000
La 2.0936 4.8302 0.0000
La 2.0845 4.7611 6.6674
Mn -3.4996 4.8488 3.3673
Mn -0.6739 3.2163 5.6065
Mn -0.6739 9.6648 3.3675
Mn 4.8801 6.4392 1.1278
Mn -6.2725 6.4416 7.8216
Mn 4.8801 6.4420 7.8462
Mn 2.0846 8.0757 5.6021
Mn -3.4996 8.0323 5.6067
Mn 2.0846 4.8054 3.3719
Mn -0.6977 6.4419 1.1067
Mn -0.6977 6.4393 7.8673
Mn -6.2725 6.4395 1.1525
O -4.9351 5.2932 2.1043
O -3.1015 3.1997 2.2614
O -4.9351 7.5880 6.8698
O -1.9346 4.2953 4.4839
O 0.4280 1.0261 2.1056
O 3.3169 5.9761 2.2583
O 3.6721 8.5410 4.4836
O 6.0550 5.3178 2.2665
O -0.3710 4.8357 6.7439
O 2.4207 9.5494 6.8633
O 7.3063 6.4406 4.4870
O 2.4207 3.3317 2.1108
O -0.3710 8.0455 2.2302
O 3.6711 7.5285 0.0179
O 6.0550 7.5634 6.7075
O 0.7634 8.9734 4.4859
O 3.6721 4.3401 4.4905
O -2.2451 5.9300 2.2374
O -1.9316 2.1120 0.0095
O 0.4280 11.8550 6.8685
O 3.3169 6.9050 6.7157
O -1.9346 8.5859 4.4902
O 0.5301 5.3547 2.2323
O 4.5325 4.8302 0.0000
O -6.5971 4.8302 0.0000
O -3.1015 9.6814 6.7127
O 1.7854 6.4406 4.4870
O -3.6229 6.4406 4.4870
O -1.9316 10.7691 8.9645
O 0.5301 7.5264 6.7418
O 3.6711 5.3526 8.9562
O 0.8580 6.9590 0.0071
O -2.2451 6.9511 6.7367
O 0.7634 3.9078 4.4881
O -1.0295 4.8302 0.0000
O 0.8580 5.9221 8.9670
```

Output
Calculated volume (Å³ per cell): 725.3
Space-group type: No. 5
Offset from the most stable computed form (eV/f.u.): 0.000

***

# 7
A plane-wave DFT calculation with GGA+U was carried out for an optimized crystal structure of La13Mn14O42.

Cell and atoms, written as extended XYZ:
```
69
Lattice="-7.2441 2.9159 4.8577 -4.6169 -5.2884 -5.9409 2.6425 -6.6925 5.7276" Properties=species:S:1:pos:R:3 pbc="T T T"
La -5.2082 -6.7937 0.1153
La -5.6860 -2.3002 7.9229
La -3.5420 -5.9959 4.9796
La -1.3673 -9.7195 2.0141
La -9.0755 -3.8404 -1.8111
La -1.8330 -5.8907 1.5851
La -6.9153 -6.8001 3.4840
La -7.3884 -3.0801 3.0360
La -0.1331 -5.3283 6.4689
La -7.9002 0.6514 2.7233
La -5.5924 -3.0344 -0.3017
La -3.6270 -6.7892 -3.3175
La -3.9546 -2.2653 4.4500
Mn -0.0173 -0.0170 0.0087
Mn -5.0273 -0.8291 1.8857
Mn -2.9092 -4.4731 -1.0224
Mn -8.0054 -5.3239 0.8151
Mn -1.2395 -3.7209 3.7597
Mn -8.4681 -1.5834 0.4198
Mn -6.3109 -4.5348 5.7187
Mn -6.3139 -5.3511 -2.5978
Mn -4.1249 -8.2751 2.7571
Mn -6.8291 -0.7854 5.2911
Mn -4.5924 -4.5159 2.3137
Mn -2.4565 -8.2427 -0.6454
Mn -2.9039 -3.7720 7.1925
Mn -0.7266 -7.5020 4.2944
O -7.8078 -7.2140 0.8961
O 0.9226 -6.9442 5.0094
O -1.0281 -5.6271 3.8986
O -4.3956 -0.6546 0.1288
O -6.8364 -1.0761 1.2441
O -6.1304 -6.4284 5.7989
O -9.4444 -1.5166 2.0518
O -5.3255 -5.3081 -4.1988
O -4.6641 -4.8136 -1.7307
O -6.6020 -3.4746 -2.8796
O -3.3025 -0.5439 2.5309
O -7.2315 -5.2153 -0.9176
O -5.8248 -0.8844 3.6346
O -5.1489 -0.3470 6.1089
O -6.4716 -2.6441 5.6092
O -6.9845 1.0545 4.9266
O -1.1317 -4.2750 -0.4590
O -0.5148 -3.6275 2.0454
O -3.7184 -4.6617 0.6643
O -2.9894 -4.1084 3.1912
O -4.3357 -6.3854 2.6570
O -4.9599 -2.7032 2.0228
O -6.2571 -5.0212 1.5060
O -5.5547 -4.4718 3.9723
O -8.7501 -5.4214 2.5645
O -8.0662 -4.8250 5.0460
O -2.1491 -10.0902 -0.3136
O -2.7333 -6.4003 -1.0036
O -4.0909 -8.7645 -1.4684
O -3.3828 -8.1918 1.0103
O -1.9415 -3.8431 5.5591
O -5.8868 -8.5715 2.0994
O -2.6340 -5.6188 7.5630
O -4.5571 -4.2425 6.3878
O -3.8386 -3.6789 8.8464
O 0.1768 -7.5598 2.6019
O -3.0889 -2.6197 -1.0969
O -2.3690 -7.9451 3.4058
O -4.8661 -8.3555 4.5070
O -8.1992 -3.4359 0.7329
O -10.1055 -2.0560 -0.4249
O -1.3678 -1.8507 3.8040
```

Output
Calculated volume (Å³ per cell): 756.8
Total DFT energy (no corrections) (eV/cell): -539.87
Space-group type: No. 146

***

# 8
A plane-wave DFT calculation with GGA+U was carried out for an optimized crystal structure of LaMnO3.

Cell and atoms, written as extended XYZ:
```
20
Lattice="-4.3299 4.3854 2.9842 -1.8539 -0.7141 -6.5528 -6.4397 -2.3845 -0.3247" Properties=species:S:1:pos:R:3 pbc="T T T"
La -5.2565 4.0277 -0.2914
La -2.1655 2.1925 1.4917
La -5.0739 -1.9055 -6.7146
La -6.3114 0.6435 -1.9461
Mn -5.3859 1.0006 1.3293
Mn -9.5312 -0.5485 -2.1087
Mn -8.4756 2.8353 -0.4552
Mn -10.7693 2.0008 2.6594
O -5.7590 -0.5924 -4.3695
O -6.8647 1.8789 0.4753
O -4.5673 2.7117 -2.6353
O -1.6166 0.9599 -0.9326
O -8.5796 -0.5884 -3.7995
O -9.7637 2.0615 0.9795
O -6.9894 1.8394 -4.0581
O -3.8769 0.1283 -2.1799
O -4.0439 1.8751 -0.0940
O -2.8595 -0.7751 -4.8726
O -5.6347 -0.5521 0.1645
O -8.7460 1.1583 -1.7132
```

Output
Calculated volume (Å³ per cell): 248.5
Total DFT energy (no corrections) (eV/cell): -160.04
Space-group type: No. 12